A plane-wave DFT calculation with PBE with a Hubbard U was carried out for an optimized crystal structure of CsV2O5.

Unit cell a=5.9756 b=5.9756 c=5.9162 alpha=93.19 beta=93.19 gamma=57.84
Sites, in units of the cell vectors:
Cs 0.0000 0.0000 0.0000
V 0.3873 0.3873 0.4513
V 0.7105 0.7105 0.4721
O 0.0528 0.5564 0.3528
O 0.4041 0.4041 0.7299
O 0.5446 0.5446 0.3371
O 0.5564 0.0528 0.3528
O 0.7327 0.7327 0.7512

Energy relative to the lowest polymorph listed for this composition = 0.0753 eV per atom
VASP energy = -7.00 eV per atom
Calculated formation energy = -2.381 eV per atom
MP2020-corrected energy = -7.86 eV per atom
Total moment = 1.00 Bohr magnetons per cell